1.
# CaNiGe PBE optimized geometry
data_CaNiGe
_chemical_formula_sum 'Ca2 Ni2 Ge2'
_space_group_name_H-M_alt 'P 4/n m m'
_space_group_IT_number 129
_cell_length_a 4.197
_cell_length_b 4.197
_cell_length_c 6.624
_cell_angle_alpha 90.00
_cell_angle_beta 90.00
_cell_angle_gamma 90.00
loop_
_space_group_symop_operation_xyz
'x,y,z'
'-x,-y,-z'
'-y+1/2,x,z'
'y+1/2,-x,-z'
'-x+1/2,-y+1/2,z'
'x+1/2,y+1/2,-z'
'y,-x+1/2,z'
'-y,x+1/2,-z'
'x+1/2,-y,-z'
'-x+1/2,y,z'
'-y,-x,-z'
'y,x,z'
'-x,y+1/2,-z'
'x,-y+1/2,z'
'y+1/2,x+1/2,-z'
'-y+1/2,-x+1/2,z'
loop_
_atom_site_label
_atom_site_type_symbol
_atom_site_fract_x
_atom_site_fract_y
_atom_site_fract_z
Ca1 Ca 0.250 0.250 0.177
Ni1 Ni 0.250 0.750 0.500
Ge1 Ge 0.250 0.250 0.687
# - energy relative to the elements (eV/atom) = -0.548

2.
# Ca2Ni3Ge2 PBE optimized geometry
data_Ca2Ni3Ge2
_chemical_formula_sum 'Ca4 Ni6 Ge4'
_space_group_name_H-M_alt 'P m m a'
_space_group_IT_number 51
_cell_length_a 9.043
_cell_length_b 3.993
_cell_length_c 7.029
_cell_angle_alpha 90.00
_cell_angle_beta 90.00
_cell_angle_gamma 90.00
loop_
_space_group_symop_operation_xyz
'x,y,z'
'-x,-y,-z'
'-x+1/2,-y,z'
'x+1/2,y,-z'
'x+1/2,-y,-z'
'-x+1/2,y,z'
'-x,y,-z'
'x,-y,z'
loop_
_atom_site_label
_atom_site_type_symbol
_atom_site_fract_x
_atom_site_fract_y
_atom_site_fract_z
Ca1 Ca 0.000 0.000 0.000
Ca2 Ca 0.250 0.500 0.331
Ni1 Ni 0.073 0.500 0.653
Ni2 Ni 0.250 0.000 0.685
Ge1 Ge 0.000 0.000 0.500
Ge2 Ge 0.250 0.500 0.900
# - energy relative to the elements (eV/atom) = -0.503

3.
# Ca5Ni17Ge8 PBE optimized geometry
data_Ca5Ni17Ge8
_chemical_formula_sum 'Ca10 Ni34 Ge16'
_space_group_name_H-M_alt 'A m m 2'
_space_group_IT_number 38
_cell_length_a 4.031
_cell_length_b 25.126
_cell_length_c 8.991
_cell_angle_alpha 90.00
_cell_angle_beta 90.00
_cell_angle_gamma 90.00
loop_
_space_group_symop_operation_xyz
'x,y,z'
'-x,-y,z'
'-x,y,z'
'x,-y,z'
'x,y+1/2,z+1/2'
'-x,-y+1/2,z+1/2'
'-x,y+1/2,z+1/2'
'x,-y+1/2,z+1/2'
loop_
_atom_site_label
_atom_site_type_symbol
_atom_site_fract_x
_atom_site_fract_y
_atom_site_fract_z
Ca1 Ca 0.000 0.000 0.000
Ca2 Ca 0.000 0.194 0.233
Ca3 Ca 0.500 0.105 0.506
Ni1 Ni 0.000 0.049 0.695
Ni2 Ni 0.000 0.064 0.271
Ni3 Ni 0.000 0.111 0.019
Ni4 Ni 0.000 0.201 0.575
Ni5 Ni 0.000 0.214 0.917
Ni6 Ni 0.500 0.000 0.292
Ni7 Ni 0.500 0.085 0.852
Ni8 Ni 0.500 0.166 0.003
Ni9 Ni 0.500 0.199 0.745
Ge1 Ge 0.000 0.000 0.460
Ge2 Ge 0.000 0.138 0.766
Ge3 Ge 0.500 0.000 0.736
Ge4 Ge 0.500 0.085 0.147
Ge5 Ge 0.500 0.240 0.497
# - energy relative to the elements (eV/atom) = -0.434

4.
# Ca4Ni4Ge3 PBE optimized geometry
data_Ca4Ni4Ge3
_chemical_formula_sum 'Ca16 Ni16 Ge12'
_space_group_name_H-M_alt 'C m c m'
_space_group_IT_number 63
_space_group_name_Hall '-C 2c 2'
_cell_length_a 4.176
_cell_length_b 10.385
_cell_length_c 19.829
_cell_angle_alpha 90.00
_cell_angle_beta 90.00
_cell_angle_gamma 90.00
loop_
_atom_site_label
_atom_site_type_symbol
_atom_site_fract_x
_atom_site_fract_y
_atom_site_fract_z
Ca1 Ca 0.000 0.000 0.000
Ca2 Ca 0.000 0.269 0.250
Ca3 Ca 0.000 0.443 0.650
Ni1 Ni 0.000 0.156 0.643
Ni2 Ni 0.000 0.272 0.534
Ge1 Ge 0.000 0.033 0.750
Ge2 Ge 0.000 0.283 0.087
# - energy relative to the elements (eV/atom) = -0.522

5.
# CaGe2O5 PBE optimized geometry
data_CaGe2O5
_chemical_formula_sum 'Ca4 Ge8 O20'
_space_group_name_H-M_alt 'P b a m'
_space_group_IT_number 55
_cell_length_a 7.445
_cell_length_b 8.384
_cell_length_c 5.804
_cell_angle_alpha 90.00
_cell_angle_beta 90.00
_cell_angle_gamma 90.00
loop_
_space_group_symop_operation_xyz
'x,y,z'
'-x,-y,-z'
'-x,-y,z'
'x,y,-z'
'x+1/2,-y+1/2,-z'
'-x+1/2,y+1/2,z'
'-x+1/2,y+1/2,-z'
'x+1/2,-y+1/2,z'
loop_
_atom_site_label
_atom_site_type_symbol
_atom_site_fract_x
_atom_site_fract_y
_atom_site_fract_z
Ca1 Ca 0.137 0.166 0.000
Ge1 Ge 0.000 0.500 0.247
Ge2 Ge 0.109 0.854 0.500
O1 O 0.000 0.000 0.291
O2 O 0.106 0.708 0.259
O3 O 0.156 0.427 0.500
O4 O 0.157 0.445 0.000
# - energy relative to the elements (eV/atom) = -2.508
# - energy with MP2020 corrections (eV/atom) = -7.0068

6.
# CaGe2O5 PBE optimized geometry
data_CaGe2O5
_chemical_formula_sum 'Ca2 Ge4 O10'
_space_group_name_H-M_alt 'P -1'
_space_group_IT_number 2
_cell_length_a 5.504
_cell_length_b 5.603
_cell_length_c 6.970
_cell_angle_alpha 105.13
_cell_angle_beta 102.28
_cell_angle_gamma 106.61
loop_
_space_group_symop_operation_xyz
'x,y,z'
'-x,-y,-z'
loop_
_atom_site_label
_atom_site_type_symbol
_atom_site_fract_x
_atom_site_fract_y
_atom_site_fract_z
Ca1 Ca 0.159 0.314 0.268
Ge1 Ge 0.191 0.326 0.756
Ge2 Ge 0.500 0.000 0.000
Ge3 Ge 0.500 0.000 0.500
O1 O 0.123 0.770 0.435
O2 O 0.201 0.118 0.909
O3 O 0.243 0.649 0.919
O4 O 0.420 0.309 0.616
O5 O 0.428 0.065 0.255
# - energy relative to the elements (eV/atom) = -2.499
# - energy with MP2020 corrections (eV/atom) = -6.9984

7.
# Ca3GeO PBE optimized geometry
data_Ca3GeO
_chemical_formula_sum 'Ca12 Ge4 O4'
_space_group_name_H-M_alt 'I m m a'
_space_group_IT_number 74
_space_group_name_Hall '-I 2b 2'
_cell_length_a 6.701
_cell_length_b 9.480
_cell_length_c 6.729
_cell_angle_alpha 90.00
_cell_angle_beta 90.00
_cell_angle_gamma 90.00
loop_
_atom_site_label
_atom_site_type_symbol
_atom_site_fract_x
_atom_site_fract_y
_atom_site_fract_z
Ca1 Ca 0.000 0.250 0.043
Ca2 Ca 0.250 0.022 0.750
Ge1 Ge 0.000 0.250 0.502
O1 O 0.000 0.000 0.000
# - energy relative to the elements (eV/atom) = -1.705
# - energy with MP2020 corrections (eV/atom) = -4.8221

8.
# CaGe2O5 PBE optimized geometry
data_CaGe2O5
_chemical_formula_sum 'Ca4 Ge8 O20'
_space_group_name_H-M_alt 'C 1 2/c 1'
_space_group_IT_number 15
_cell_length_a 6.669
_cell_length_b 8.902
_cell_length_c 6.985
_cell_angle_alpha 90.00
_cell_angle_beta 113.57
_cell_angle_gamma 90.00
loop_
_space_group_symop_operation_xyz
'x,y,z'
'-x,-y,-z'
'-x,y,-z+1/2'
'x,-y,z+1/2'
'x+1/2,y+1/2,z'
'-x+1/2,-y+1/2,-z'
'-x+1/2,y+1/2,-z+1/2'
'x+1/2,-y+1/2,z+1/2'
loop_
_atom_site_label
_atom_site_type_symbol
_atom_site_fract_x
_atom_site_fract_y
_atom_site_fract_z
Ca1 Ca 0.000 0.171 0.250
Ge1 Ge 0.000 0.185 0.750
Ge2 Ge 0.000 0.500 0.000
O1 O 0.000 0.430 0.250
O2 O 0.105 0.297 0.601
O3 O 0.193 0.058 0.925
# - energy relative to the elements (eV/atom) = -2.507
# - energy with MP2020 corrections (eV/atom) = -7.0062

- Among the records above, which one has the highest energy relative to the elements?
  Ca5Ni17Ge8

- What is the formula in the eighth record?
  CaGe2O5